[1]
Here is crystalline Sr5Li25La7Nb8O48 at its relaxed geometry from the Materials Project database. Energies are from PBE.

CIF file:
```
data_Sr5Li25La7Nb8O48
_space_group_name_H-M_alt 'P 1'
_space_group_IT_number 1
_space_group_name_Hall 'P 1'
_cell_length_a 11.267
_cell_length_b 11.534
_cell_length_c 11.576
_cell_angle_alpha 110.60
_cell_angle_beta 109.79
_cell_angle_gamma 107.30
loop_
_atom_site_label
_atom_site_type_symbol
_atom_site_fract_x
_atom_site_fract_y
_atom_site_fract_z
_atom_site_occupancy
Sr1 Sr 0.000 0.000 0.000 1
Sr2 Sr 0.011 0.402 0.157 1
Sr3 Sr 0.149 0.739 0.142 1
Sr4 Sr 0.528 0.471 0.025 1
Sr5 Sr 0.751 0.254 0.487 1
Li1 Li 0.008 0.927 0.285 1
Li2 Li 0.009 0.878 0.631 1
Li3 Li 0.044 0.350 0.930 1
Li4 Li 0.108 0.173 0.793 1
Li5 Li 0.128 0.573 0.733 1
Li6 Li 0.219 0.508 0.929 1
Li7 Li 0.251 0.258 0.025 1
Li8 Li 0.276 0.383 0.353 1
Li9 Li 0.434 0.280 0.195 1
Li10 Li 0.461 0.836 0.128 1
Li11 Li 0.468 0.671 0.974 1
Li12 Li 0.498 0.987 0.531 1
Li13 Li 0.500 0.964 0.338 1
Li14 Li 0.576 0.085 0.186 1
Li15 Li 0.630 0.749 0.620 1
Li16 Li 0.640 0.207 0.882 1
Li17 Li 0.652 0.278 0.147 1
Li18 Li 0.670 0.915 0.131 1
Li19 Li 0.685 0.607 0.788 1
Li20 Li 0.698 0.227 0.705 1
Li21 Li 0.748 0.778 0.003 1
Li22 Li 0.770 0.416 0.903 1
Li23 Li 0.849 0.663 0.045 1
Li24 Li 0.945 0.445 0.796 1
Li25 Li 0.961 0.476 0.455 1
La1 La 0.127 0.269 0.607 1
La2 La 0.261 0.754 0.510 1
La3 La 0.283 0.916 0.904 1
La4 La 0.484 0.320 0.605 1
La5 La 0.617 0.974 0.895 1
La6 La 0.672 0.527 0.403 1
La7 La 0.750 0.872 0.382 1
Nb1 Nb 0.330 0.093 0.256 1
Nb2 Nb 0.362 0.122 0.752 1
Nb3 Nb 0.383 0.607 0.716 1
Nb4 Nb 0.388 0.615 0.261 1
Nb5 Nb 0.849 0.088 0.749 1
Nb6 Nb 0.907 0.649 0.282 1
Nb7 Nb 0.908 0.660 0.758 1
Nb8 Nb 0.919 0.159 0.261 1
O1 O 0.017 0.565 0.366 1
O2 O 0.021 0.839 0.791 1
O3 O 0.024 0.319 0.753 1
O4 O 0.044 0.186 0.924 1
O5 O 0.068 0.236 0.232 1
O6 O 0.071 0.640 0.871 1
O7 O 0.096 0.800 0.352 1
O8 O 0.148 0.985 0.219 1
O9 O 0.189 0.526 0.085 1
O10 O 0.214 0.940 0.690 1
O11 O 0.239 0.677 0.679 1
O12 O 0.267 0.105 0.076 1
O13 O 0.280 0.553 0.350 1
O14 O 0.285 0.158 0.599 1
O15 O 0.285 0.528 0.808 1
O16 O 0.302 0.240 0.865 1
O17 O 0.312 0.424 0.566 1
O18 O 0.361 0.936 0.147 1
O19 O 0.385 0.801 0.348 1
O20 O 0.391 0.291 0.369 1
O21 O 0.417 0.439 0.192 1
O22 O 0.470 0.117 0.441 1
O23 O 0.473 0.018 0.690 1
O24 O 0.476 0.676 0.141 1
O25 O 0.485 0.110 0.943 1
O26 O 0.486 0.745 0.679 1
O27 O 0.490 0.848 0.970 1
O28 O 0.556 0.307 0.829 1
O29 O 0.559 0.619 0.857 1
O30 O 0.592 0.709 0.422 1
O31 O 0.599 0.270 0.290 1
O32 O 0.654 0.998 0.289 1
O33 O 0.702 0.069 0.584 1
O34 O 0.705 0.617 0.640 1
O35 O 0.718 0.474 0.202 1
O36 O 0.746 0.409 0.722 1
O37 O 0.767 0.946 0.783 1
O38 O 0.772 0.190 0.147 1
O39 O 0.802 0.743 0.183 1
O40 O 0.812 0.967 0.082 1
O41 O 0.820 0.246 0.877 1
O42 O 0.868 0.733 0.438 1
O43 O 0.876 0.729 0.928 1
O44 O 0.887 0.528 0.580 1
O45 O 0.907 0.551 0.093 1
O46 O 0.935 0.018 0.635 1
O47 O 0.962 0.066 0.376 1
O48 O 0.969 0.312 0.447 1
```

Results
As for the spin magnetization: 0.000 μB per atom.

=====

[2]
Here is crystalline Na18Ta20Zn4Si27S9O144 at its relaxed geometry from the Materials Project database. Energies are from PBE.

CIF file:
```
data_Na18Ta20Zn4Si27S9O144
_space_group_name_H-M_alt 'P 1'
_space_group_IT_number 1
_space_group_name_Hall 'P 1'
_cell_length_a 8.921
_cell_length_b 15.462
_cell_length_c 22.872
_cell_angle_alpha 89.77
_cell_angle_beta 89.95
_cell_angle_gamma 89.94
loop_
_atom_site_label
_atom_site_type_symbol
_atom_site_fract_x
_atom_site_fract_y
_atom_site_fract_z
_atom_site_occupancy
Na1 Na 0.000 0.000 0.000 1
Na2 Na 0.000 0.328 0.827 1
Na3 Na 0.002 0.665 0.663 1
Na4 Na 0.003 0.332 0.330 1
Na5 Na 0.005 0.995 0.500 1
Na6 Na 0.197 0.817 0.253 1
Na7 Na 0.307 0.316 0.751 1
Na8 Na 0.501 0.834 0.827 1
Na9 Na 0.502 0.163 0.165 1
Na10 Na 0.502 0.496 0.997 1
Na11 Na 0.503 0.158 0.670 1
Na12 Na 0.504 0.500 0.501 1
Na13 Na 0.505 0.828 0.331 1
Na14 Na 0.630 0.993 0.247 1
Na15 Na 0.701 0.316 0.249 1
Na16 Na 0.802 0.817 0.746 1
Na17 Na 0.873 0.493 0.746 1
Na18 Na 0.999 0.663 0.174 1
Ta1 Ta 0.001 0.002 0.645 1
Ta2 Ta 0.003 0.664 0.315 1
Ta3 Ta 0.004 0.663 0.815 1
Ta4 Ta 0.004 0.666 0.017 1
Ta5 Ta 0.004 0.998 0.357 1
Ta6 Ta 0.497 0.162 0.519 1
Ta7 Ta 0.500 0.162 0.317 1
Ta8 Ta 0.501 0.163 0.813 1
Ta9 Ta 0.501 0.498 0.856 1
Ta10 Ta 0.503 0.839 0.480 1
Ta11 Ta 0.509 0.166 0.021 1
Ta12 Ta 0.510 0.507 0.360 1
Ta13 Ta 0.510 0.840 0.976 1
Ta14 Ta 0.512 0.501 0.651 1
Ta15 Ta 0.512 0.502 0.150 1
Ta16 Ta 0.991 0.000 0.152 1
Ta17 Ta 0.993 0.333 0.977 1
Ta18 Ta 0.993 0.339 0.476 1
Ta19 Ta 0.994 0.666 0.521 1
Ta20 Ta 0.996 0.006 0.858 1
Zn1 Zn 0.509 0.837 0.193 1
Zn2 Zn 0.519 0.840 0.685 1
Zn3 Zn 0.985 0.331 0.188 1
Zn4 Zn 0.995 0.336 0.692 1
Si1 Si 0.144 0.145 0.750 1
Si2 Si 0.148 0.525 0.419 1
Si3 Si 0.148 0.809 0.418 1
Si4 Si 0.209 0.167 0.418 1
Si5 Si 0.216 0.502 0.751 1
Si6 Si 0.288 0.002 0.251 1
Si7 Si 0.296 0.666 0.918 1
Si8 Si 0.354 0.026 0.919 1
Si9 Si 0.359 0.309 0.918 1
Si10 Si 0.359 0.645 0.251 1
Si11 Si 0.359 0.977 0.588 1
Si12 Si 0.640 0.310 0.418 1
Si13 Si 0.640 0.648 0.754 1
Si14 Si 0.646 0.977 0.088 1
Si15 Si 0.648 0.353 0.753 1
Si16 Si 0.651 0.021 0.419 1
Si17 Si 0.710 0.333 0.086 1
Si18 Si 0.711 0.999 0.752 1
Si19 Si 0.715 0.671 0.418 1
Si20 Si 0.786 0.166 0.917 1
Si21 Si 0.791 0.832 0.587 1
Si22 Si 0.798 0.500 0.254 1
Si23 Si 0.854 0.522 0.918 1
Si24 Si 0.856 0.852 0.254 1
Si25 Si 0.859 0.477 0.588 1
Si26 Si 0.862 0.147 0.254 1
Si27 Si 0.862 0.811 0.916 1
S1 S 0.147 0.189 0.085 1
S2 S 0.147 0.478 0.085 1
S3 S 0.148 0.857 0.752 1
S4 S 0.211 0.832 0.085 1
S5 S 0.292 0.333 0.585 1
S6 S 0.356 0.357 0.252 1
S7 S 0.357 0.688 0.585 1
S8 S 0.648 0.689 0.085 1
S9 S 0.856 0.190 0.585 1
O1 O 0.066 0.770 0.758 1
O2 O 0.068 0.566 0.361 1
O3 O 0.071 0.762 0.474 1
O4 O 0.072 0.905 0.410 1
O5 O 0.073 0.895 0.699 1
O6 O 0.074 0.427 0.428 1
O7 O 0.075 0.093 0.808 1
O8 O 0.076 0.101 0.090 1
O9 O 0.078 0.568 0.077 1
O10 O 0.080 0.231 0.032 1
O11 O 0.080 0.241 0.745 1
O12 O 0.082 0.441 0.138 1
O13 O 0.108 0.252 0.431 1
O14 O 0.109 0.081 0.411 1
O15 O 0.109 0.589 0.759 1
O16 O 0.109 0.754 0.076 1
O17 O 0.113 0.417 0.749 1
O18 O 0.114 0.080 0.694 1
O19 O 0.114 0.911 0.088 1
O20 O 0.115 0.909 0.805 1
O21 O 0.117 0.751 0.359 1
O22 O 0.119 0.583 0.476 1
O23 O 0.120 0.426 0.032 1
O24 O 0.125 0.241 0.138 1
O25 O 0.174 0.991 0.592 1
O26 O 0.176 0.652 0.258 1
O27 O 0.177 0.009 0.910 1
O28 O 0.178 0.321 0.932 1
O29 O 0.179 0.988 0.307 1
O30 O 0.180 0.017 0.192 1
O31 O 0.182 0.653 0.975 1
O32 O 0.182 0.683 0.862 1
O33 O 0.191 0.676 0.577 1
O34 O 0.195 0.344 0.532 1
O35 O 0.197 0.346 0.243 1
O36 O 0.208 0.317 0.639 1
O37 O 0.295 0.815 0.138 1
O38 O 0.306 0.844 0.747 1
O39 O 0.309 0.842 0.032 1
O40 O 0.312 0.177 0.077 1
O41 O 0.314 0.489 0.090 1
O42 O 0.321 0.152 0.475 1
O43 O 0.321 0.183 0.361 1
O44 O 0.324 0.517 0.693 1
O45 O 0.325 0.488 0.808 1
O46 O 0.327 0.152 0.759 1
O47 O 0.327 0.509 0.408 1
O48 O 0.328 0.818 0.428 1
O49 O 0.378 0.738 0.638 1
O50 O 0.384 0.251 0.860 1
O51 O 0.386 0.409 0.304 1
O52 O 0.387 0.083 0.976 1
O53 O 0.388 0.412 0.588 1
O54 O 0.389 0.918 0.528 1
O55 O 0.390 0.580 0.193 1
O56 O 0.390 0.917 0.249 1
O57 O 0.395 0.256 0.576 1
O58 O 0.395 0.580 0.912 1
O59 O 0.395 0.752 0.932 1
O60 O 0.396 0.089 0.258 1
O61 O 0.425 0.727 0.532 1
O62 O 0.425 0.740 0.244 1
O63 O 0.427 0.598 0.590 1
O64 O 0.430 0.592 0.307 1
O65 O 0.430 0.928 0.928 1
O66 O 0.430 0.938 0.645 1
O67 O 0.431 0.076 0.575 1
O68 O 0.431 0.398 0.198 1
O69 O 0.432 0.406 0.911 1
O70 O 0.433 0.262 0.975 1
O71 O 0.436 0.271 0.256 1
O72 O 0.437 0.067 0.862 1
O73 O 0.557 0.262 0.758 1
O74 O 0.564 0.401 0.695 1
O75 O 0.569 0.405 0.409 1
O76 O 0.569 0.927 0.425 1
O77 O 0.570 0.742 0.749 1
O78 O 0.571 0.066 0.360 1
O79 O 0.571 0.263 0.476 1
O80 O 0.574 0.073 0.075 1
O81 O 0.574 0.938 0.145 1
O82 O 0.576 0.594 0.810 1
O83 O 0.578 0.598 0.090 1
O84 O 0.581 0.726 0.032 1
O85 O 0.598 0.250 0.075 1
O86 O 0.599 0.421 0.093 1
O87 O 0.604 0.751 0.428 1
O88 O 0.610 0.417 0.808 1
O89 O 0.611 0.582 0.411 1
O90 O 0.611 0.914 0.029 1
O91 O 0.613 0.914 0.752 1
O92 O 0.614 0.083 0.475 1
O93 O 0.614 0.089 0.759 1
O94 O 0.615 0.251 0.359 1
O95 O 0.622 0.581 0.696 1
O96 O 0.626 0.738 0.137 1
O97 O 0.671 0.488 0.591 1
O98 O 0.674 0.154 0.259 1
O99 O 0.676 0.512 0.913 1
O100 O 0.677 0.484 0.307 1
O101 O 0.680 0.818 0.928 1
O102 O 0.680 0.848 0.249 1
O103 O 0.681 0.513 0.195 1
O104 O 0.681 0.846 0.529 1
O105 O 0.683 0.184 0.860 1
O106 O 0.686 0.151 0.976 1
O107 O 0.690 0.178 0.576 1
O108 O 0.709 0.809 0.647 1
O109 O 0.800 0.315 0.145 1
O110 O 0.815 0.675 0.077 1
O111 O 0.819 0.650 0.475 1
O112 O 0.821 0.682 0.360 1
O113 O 0.824 0.318 0.427 1
O114 O 0.824 0.347 0.029 1
O115 O 0.825 0.349 0.750 1
O116 O 0.826 0.012 0.695 1
O117 O 0.828 0.986 0.808 1
O118 O 0.829 0.013 0.412 1
O119 O 0.829 0.653 0.760 1
O120 O 0.834 0.988 0.090 1
O121 O 0.879 0.239 0.638 1
O122 O 0.882 0.081 0.196 1
O123 O 0.888 0.750 0.859 1
O124 O 0.891 0.589 0.258 1
O125 O 0.893 0.414 0.530 1
O126 O 0.893 0.583 0.975 1
O127 O 0.894 0.917 0.308 1
O128 O 0.896 0.082 0.912 1
O129 O 0.896 0.414 0.248 1
O130 O 0.898 0.250 0.928 1
O131 O 0.899 0.920 0.593 1
O132 O 0.907 0.750 0.575 1
O133 O 0.925 0.100 0.589 1
O134 O 0.925 0.228 0.532 1
O135 O 0.928 0.094 0.310 1
O136 O 0.930 0.438 0.646 1
O137 O 0.930 0.573 0.576 1
O138 O 0.932 0.762 0.975 1
O139 O 0.933 0.241 0.250 1
O140 O 0.935 0.566 0.861 1
O141 O 0.936 0.906 0.911 1
O142 O 0.937 0.429 0.928 1
O143 O 0.939 0.901 0.195 1
O144 O 0.947 0.761 0.257 1
```

Results
As for the spin magnetization: 0.000 μB per atom.

=====

[3]
Here is crystalline NpAl8Cu4 at its relaxed geometry from the Materials Project database. Energies are from PBE.

CIF file:
```
data_NpAl8Cu4
_space_group_name_H-M_alt 'I 4/m m m'
_space_group_IT_number 139
_space_group_name_Hall '-I 4 2'
_cell_length_a 8.814
_cell_length_b 8.814
_cell_length_c 5.082
_cell_angle_alpha 90.00
_cell_angle_beta 90.00
_cell_angle_gamma 90.00
loop_
_atom_site_label
_atom_site_type_symbol
_atom_site_fract_x
_atom_site_fract_y
_atom_site_fract_z
_atom_site_occupancy
Np1 Np 0.000 0.000 0.000 1
Al1 Al 0.000 0.217 0.500 1
Al2 Al 0.000 0.345 0.000 1
Cu1 Cu 0.250 0.250 0.250 1
```

=====

[4]
Here is crystalline Ca2Eu2In3Ge4 at its relaxed geometry from the Materials Project database. Energies are from PBE.

CIF file:
```
data_Ca2Eu2In3Ge4
_space_group_name_H-M_alt 'C 1 2/m 1'
_space_group_IT_number 12
_space_group_name_Hall '-C 2y'
_cell_length_a 16.704
_cell_length_b 4.706
_cell_length_c 7.417
_cell_angle_alpha 90.00
_cell_angle_beta 107.06
_cell_angle_gamma 90.00
loop_
_atom_site_label
_atom_site_type_symbol
_atom_site_fract_x
_atom_site_fract_y
_atom_site_fract_z
_atom_site_occupancy
Ca1 Ca 0.076 0.000 0.367 1
Eu1 Eu 0.147 0.000 0.923 1
In1 In 0.000 0.500 0.000 1
In2 In 0.213 0.500 0.625 1
Ge1 Ge 0.054 0.500 0.658 1
Ge2 Ge 0.190 0.500 0.229 1
```

Results
As for the spin magnetization: 1.265 μB per atom.

=====

[5]
Here is crystalline Sn2Pt at its relaxed geometry from the Materials Project database. Energies are from PBE.

CIF file:
```
data_Sn2Pt
_space_group_name_H-M_alt 'F m -3 m'
_space_group_IT_number 225
_space_group_name_Hall '-F 4 2 3'
_cell_length_a 6.555
_cell_length_b 6.555
_cell_length_c 6.555
_cell_angle_alpha 90.00
_cell_angle_beta 90.00
_cell_angle_gamma 90.00
loop_
_atom_site_label
_atom_site_type_symbol
_atom_site_fract_x
_atom_site_fract_y
_atom_site_fract_z
_atom_site_occupancy
Sn1 Sn 0.250 0.250 0.250 1
Pt1 Pt 0.000 0.000 0.000 1
```

=====

[6]
Here is crystalline TbBeCu4 at its relaxed geometry from the Materials Project database. Energies are from PBE.

CIF file:
```
data_TbBeCu4
_space_group_name_H-M_alt 'P -6 m 2'
_space_group_IT_number 187
_space_group_name_Hall 'P -6 2'
_cell_length_a 5.0715
_cell_length_b 5.0715
_cell_length_c 3.8715
_cell_angle_alpha 90.00
_cell_angle_beta 90.00
_cell_angle_gamma 120.00
loop_
_atom_site_label
_atom_site_type_symbol
_atom_site_fract_x
_atom_site_fract_y
_atom_site_fract_z
_atom_site_occupancy
Tb1 Tb 0.0000 0.0000 0.0000 1
Be1 Be 0.3333 0.6667 0.0000 1
Cu1 Cu 0.0090 0.5045 0.5000 1
Cu2 Cu 0.6667 0.3333 0.0000 1
```

Results
As for the spin magnetization: 0.000 μB per atom.

=====

Total energy: -643.0 -1701.0 -124.4 -113.8 -61.7 -25.7 (eV/cell)